Entry 1:
Entry from the Materials Project: crystalline BaTb4SmO12 at its relaxed geometry (PBE).

Cell lengths 8.7746, 6.2219, 6.2219 Å; angles 92.44, 90.00, 90.00 degrees
With the nearest neighbours (Å) after each atom.
Fractional coordinates of all 18 atoms:
Ba  0.0000  0.0000  0.0000  6 O 2.66-2.96
Tb  0.2625  0.4585  0.9153  6 O 2.21-2.46
Tb  0.2625  0.9153  0.4585  6 O 2.21-2.46
Tb  0.7375  0.4585  0.9153  6 O 2.21-2.46
Tb  0.7375  0.9153  0.4585  6 O 2.21-2.46
Sm  0.5000  0.3819  0.3819  4 O 2.24-2.35
O  0.0000  0.5135  0.9422  2 Tb 2.33, 2 O 2.61
O  0.0000  0.9422  0.5135  2 Tb 2.33, 2 O 2.61
O  0.2133  0.1415  0.7361  2 Tb 2.22-2.27
O  0.2133  0.7361  0.1415  2 Tb 2.22-2.27
O  0.2534  0.2263  0.2263  2 Tb 2.46, 1 Sm 2.54
O  0.3365  0.5976  0.5976  2 Tb 2.29, 1 Sm 2.35
O  0.5000  0.0319  0.4518  2 Tb 2.21, 1 Sm 2.24
O  0.5000  0.4518  0.0319  2 Tb 2.21, 1 Sm 2.24
O  0.6635  0.5976  0.5976  2 Tb 2.29, 1 Sm 2.35
O  0.7466  0.2263  0.2263  2 Tb 2.46, 1 Sm 2.54
O  0.7867  0.1415  0.7361  2 Tb 2.22-2.27
O  0.7867  0.7361  0.1415  2 Tb 2.22-2.27

Space group = Amm2, No. 38
Formation enthalpy at 0 K = -2753 meV per atom



Entry 2:
Entry from the Materials Project: crystalline BaSmTi4O12 at its relaxed geometry (PBE).

Cell lengths 5.5433, 5.5433, 7.7983 Å; angles 90.00, 90.00, 90.00 degrees
With the nearest neighbours (Å) after each atom.
Fractional coordinates of all 18 atoms:
Ba  0.0000  0.0000  0.0000  12 O 2.77-2.89
Sm  0.5000  0.5000  0.5000  12 O 2.64-2.77
Ti  0.0000  0.5000  0.2507  6 O 1.94-1.96
Ti  0.0000  0.5000  0.7493  6 O 1.94-1.96
Ti  0.5000  0.0000  0.2507  6 O 1.94-1.96
Ti  0.5000  0.0000  0.7493  6 O 1.94-1.96
O  0.0000  0.5000  0.0000  2 Ti 1.95
O  0.0000  0.5000  0.5000  2 Ti 1.94
O  0.2582  0.2582  0.2639  2 Ti 1.96
O  0.2582  0.2582  0.7361  2 Ti 1.96
O  0.2582  0.7418  0.2639  2 Ti 1.96
O  0.2582  0.7418  0.7361  2 Ti 1.96
O  0.5000  0.0000  0.0000  2 Ti 1.95
O  0.5000  0.0000  0.5000  2 Ti 1.94
O  0.7418  0.2582  0.2639  2 Ti 1.96
O  0.7418  0.2582  0.7361  2 Ti 1.96
O  0.7418  0.7418  0.2639  2 Ti 1.96
O  0.7418  0.7418  0.7361  2 Ti 1.96

Space group = P4/mmm, No. 123
Formation enthalpy at 0 K = -3131 meV per atom



Entry 3:
Entry from the Materials Project: crystalline BaSm2Ti3O10 at its relaxed geometry (PBE).

Cell lengths 14.4128, 14.4128, 7.6588 Å; angles 90.00, 90.00, 164.43 degrees
With the nearest neighbours (Å) after each atom.
Fractional coordinates of all 32 atoms:
Ba  0.2412  0.7588  0.7500  6 O 2.71-2.72
Ba  0.7588  0.2412  0.2500  6 O 2.71-2.72
Sm  0.0724  0.9276  0.7500  6 O 2.39-2.48
Sm  0.0795  0.9205  0.2500  6 O 2.41-2.47
Sm  0.9205  0.0795  0.7500  6 O 2.41-2.47
Sm  0.9276  0.0724  0.2500  6 O 2.39-2.48
Ti  0.3556  0.6444  0.0039  2 O 1.77-1.94
Ti  0.3556  0.6444  0.4961  2 O 1.77-1.94
Ti  0.5000  0.5000  0.0000  6 O 1.93-1.99
Ti  0.5000  0.5000  0.5000  6 O 1.93-1.99
Ti  0.6444  0.3556  0.5039  2 O 1.77-1.94
Ti  0.6444  0.3556  0.9961  2 O 1.77-1.94
O  0.0000  0.0000  0.0000  2 Ti 1.95
O  0.0000  0.0000  0.5000  2 Ti 1.95
O  0.1281  0.8719  0.5073  2 Ti 2.01
O  0.1281  0.8719  0.9927  2 Ti 2.01
O  0.2945  0.7055  0.0441  1 Ti 1.77
O  0.2945  0.7055  0.4559  1 Ti 1.77
O  0.3549  0.6451  0.7500  2 Ti 1.94
O  0.3791  0.6209  0.2500  2 Ti 2.00
O  0.4343  0.5657  0.5600  1 Ti 1.93
O  0.4343  0.5657  0.9400  1 Ti 1.93
O  0.4810  0.5190  0.2500  2 Ti 1.99
O  0.5190  0.4810  0.7500  2 Ti 1.99
O  0.5657  0.4343  0.0600  1 Ti 1.93
O  0.5657  0.4343  0.4400  1 Ti 1.93
O  0.6209  0.3791  0.7500  2 Ti 2.00
O  0.6451  0.3549  0.2500  2 Ti 1.94
O  0.7055  0.2945  0.5441  1 Ti 1.77
O  0.7055  0.2945  0.9559  1 Ti 1.77
O  0.8719  0.1281  0.0073  2 Ti 2.01
O  0.8719  0.1281  0.4927  2 Ti 2.01

Space group = Cmcm, No. 63
Formation enthalpy at 0 K = -3656 meV per atom



Entry 4:
Entry from the Materials Project: crystalline BaSn4O7 at its relaxed geometry (PBE).

Cell lengths 7.1816, 7.1816, 13.0033 Å; angles 90.00, 90.00, 120.00 degrees
With the nearest neighbours (Å) after each atom.
Fractional coordinates of all 24 atoms:
Ba  0.3333  0.6667  0.0000  3 O 2.78
Ba  0.6667  0.3333  0.5000  3 O 2.78
Sn  0.0000  0.0000  0.0435  3 O 2.12
Sn  0.0000  0.0000  0.5435  3 O 2.12
Sn  0.1685  0.3369  0.7680  4 O 1.99-2.14
Sn  0.1685  0.8315  0.7680  4 O 1.99-2.14
Sn  0.3369  0.1685  0.2680  4 O 1.99-2.14
Sn  0.6631  0.8315  0.7680  4 O 1.99-2.14
Sn  0.8315  0.1685  0.2680  4 O 1.99-2.14
Sn  0.8315  0.6631  0.2680  4 O 1.99-2.14
O  0.0000  0.0000  0.3013  3 Sn 2.14
O  0.0000  0.0000  0.8013  3 Sn 2.14
O  0.0601  0.5301  0.8303  2 Sn 2.07
O  0.1527  0.3055  0.6158  2 Sn 1.99-2.12
O  0.1527  0.8473  0.6158  2 Sn 1.99-2.12
O  0.3055  0.1527  0.1158  2 Sn 1.99-2.12
O  0.4699  0.5301  0.8303  2 Sn 2.07
O  0.4699  0.9399  0.8303  2 Sn 2.07
O  0.5301  0.0601  0.3303  2 Sn 2.07
O  0.5301  0.4699  0.3303  2 Sn 2.07
O  0.6945  0.8473  0.6158  2 Sn 1.99-2.12
O  0.8473  0.1527  0.1158  2 Sn 1.99-2.12
O  0.8473  0.6945  0.1158  2 Sn 1.99-2.12
O  0.9399  0.4699  0.3303  2 Sn 2.07

Space group = P6_3mc, No. 186
Formation enthalpy at 0 K = -1738 meV per atom



Entry 5:
Entry from the Materials Project: crystalline BaSn4O8 at its relaxed geometry (PBE).

Cell lengths 6.0855, 6.0855, 7.6631 Å; angles 90.00, 90.00, 120.00 degrees
With the nearest neighbours (Å) after each atom.
Fractional coordinates of all 13 atoms:
Ba  0.0000  0.0000  0.0000  6 O 3.01
Sn  0.3333  0.6667  0.2598  4 O 1.99-2.03
Sn  0.3333  0.6667  0.7402  4 O 1.99-2.03
Sn  0.6667  0.3333  0.2598  4 O 1.99-2.03
Sn  0.6667  0.3333  0.7402  4 O 1.99-2.03
O  0.0000  0.3369  0.2879  2 Sn 2.03
O  0.0000  0.6631  0.7121  2 Sn 2.03
O  0.3333  0.6667  0.0000  2 Sn 1.99
O  0.3369  0.0000  0.2879  2 Sn 2.03
O  0.3369  0.3369  0.7121  2 Sn 2.03
O  0.6631  0.0000  0.7121  2 Sn 2.03
O  0.6631  0.6631  0.2879  2 Sn 2.03
O  0.6667  0.3333  0.0000  2 Sn 1.99

Space group = P-31m, No. 162
Formation enthalpy at 0 K = -1879 meV per atom



Entry 6:
Entry from the Materials Project: crystalline Ba3Sn2O7 at its relaxed geometry (PBE).

Cell lengths 11.2763, 11.2763, 5.9405 Å; angles 90.00, 90.00, 30.60 degrees
With the nearest neighbours (Å) after each atom.
Fractional coordinates of all 24 atoms:
Ba  0.0681  0.5621  0.7500  8 O 2.68-2.98
Ba  0.2489  0.7511  0.7500  12 O 2.83-3.12
Ba  0.4379  0.9319  0.7500  8 O 2.68-2.98
Ba  0.5621  0.0681  0.2500  8 O 2.68-2.98
Ba  0.7511  0.2489  0.2500  12 O 2.83-3.12
Ba  0.9319  0.4379  0.2500  8 O 2.68-2.98
Sn  0.1538  0.6536  0.2500  6 O 2.08-2.10
Sn  0.3464  0.8462  0.2500  6 O 2.08-2.10
Sn  0.6536  0.1538  0.7500  6 O 2.08-2.10
Sn  0.8462  0.3464  0.7500  6 O 2.08-2.10
O  0.0742  0.5421  0.2500  1 Sn 2.08
O  0.0992  0.0992  0.0000  2 Sn 2.10
O  0.0992  0.0992  0.5000  2 Sn 2.10
O  0.2274  0.7726  0.2500  2 Sn 2.10
O  0.4084  0.4084  0.0000  2 Sn 2.10
O  0.4084  0.4084  0.5000  2 Sn 2.10
O  0.4579  0.9258  0.2500  1 Sn 2.08
O  0.5421  0.0742  0.7500  1 Sn 2.08
O  0.5916  0.5916  0.0000  2 Sn 2.10
O  0.5916  0.5916  0.5000  2 Sn 2.10
O  0.7726  0.2274  0.7500  2 Sn 2.10
O  0.9008  0.9008  0.0000  2 Sn 2.10
O  0.9008  0.9008  0.5000  2 Sn 2.10
O  0.9258  0.4579  0.7500  1 Sn 2.08

Space group = Cmcm, No. 63
Formation enthalpy at 0 K = -2669 meV per atom



Entry 7:
Entry from the Materials Project: crystalline BaSnO3 at its relaxed geometry (PBE).

Cell lengths 5.9232, 5.9232, 5.9232 Å; angles 120.01, 90.12, 119.86 degrees
With the nearest neighbours (Å) after each atom.
Fractional coordinates of all 10 atoms:
Ba  0.2500  0.0000  0.2500  12 O 2.83-3.11
Ba  0.7500  0.0000  0.7500  12 O 2.83-3.11
Sn  0.0000  0.5000  0.5000  6 O 2.10
Sn  0.5000  0.5000  0.0000  6 O 2.10
O  0.2345  0.0000  0.7345  2 Sn 2.10
O  0.2345  0.5000  0.2345  2 Sn 2.10
O  0.2739  0.5239  0.7500  2 Sn 2.10
O  0.7261  0.4761  0.2500  2 Sn 2.10
O  0.7655  0.0000  0.2655  2 Sn 2.10
O  0.7655  0.5000  0.7655  2 Sn 2.10

Space group = Imma, No. 74
Formation enthalpy at 0 K = -2587 meV per atom



Entry 8:
Entry from the Materials Project: crystalline BaSnO3 at its relaxed geometry (PBE).

Cell lengths 4.1886, 4.1886, 4.1886 Å; angles 90.00, 90.00, 90.00 degrees
With the nearest neighbours (Å) after each atom.
Fractional coordinates of all 5 atoms:
Ba  0.0000  0.0000  0.0000  12 O 2.96
Sn  0.5000  0.5000  0.5000  6 O 2.09
O  0.0000  0.5000  0.5000  2 Sn 2.09
O  0.5000  0.0000  0.5000  2 Sn 2.09
O  0.5000  0.5000  0.0000  2 Sn 2.09

Space group = Pm-3m, No. 221
Formation enthalpy at 0 K = -2587 meV per atom



Calculated volume list, top to bottom, in Å³ per atom: 18.85; 13.31; 13.35; 24.20; 18.91; 16.02; 14.71; 14.70
Total DFT energy (no corrections) list, top to bottom, in eV per atom: -6.992; -8.095; -8.509; -5.720; -5.883; -6.302; -6.329; -6.330